1.
Entry from the Materials Project: PdC4S4I2N8 after structural relaxation (GGA-PBE).

Output
electronic total energy: -5.934 eV/atom
corrected total energy (MP2020 scheme): -470.6 eV per cell
energy relative to the lowest polymorph listed for this composition: 2.674 eV/f.u.

a = 13.2810 Å, b = 10.5401 Å, c = 11.6595 Å
α = 90.00°, β = 91.08°, γ = 90.00°
Space group C2/c (No. 15)
One atom of each set of equivalent atoms:
Pd: 0.2500 0.2500 0.0000 (multiplicity 4)
C: 0.0770 0.0829 0.9135 (multiplicity 8)
C: 0.1946 0.2710 0.2239 (multiplicity 8)
S: 0.1834 0.0419 0.9723 (multiplicity 8)
S: 0.1897 0.3077 0.8105 (multiplicity 8)
I: 0.0272 0.3186 0.3809 (multiplicity 8)
N: 0.0122 0.1796 0.8852 (multiplicity 8)
N: 0.0127 0.0572 0.6418 (multiplicity 8)
N: 0.1475 0.3103 0.1276 (multiplicity 8)
N: 0.1713 0.2736 0.3333 (multiplicity 8)

2.
Entry from the Materials Project: SrNdZrTiO6 after structural relaxation (GGA-PBE).

Output
electronic total energy: -8.331 eV/atom
corrected total energy (MP2020 scheme): -349.7 eV per cell

a = 8.1187 Å, b = 8.1187 Å, c = 8.1187 Å
α = 90.00°, β = 90.00°, γ = 90.00°
Space group F-43m (No. 216)
One atom of each set of equivalent atoms:
Sr: 0.0000 0.0000 0.0000 (multiplicity 4)
Nd: 0.0000 0.0000 0.5000 (multiplicity 4)
Zr: 0.2500 0.2500 0.2500 (multiplicity 4)
Ti: 0.2500 0.2500 0.7500 (multiplicity 4)
O: 0.0068 0.2500 0.7500 (multiplicity 24)

3.
Entry from the Materials Project: Sc2GeO5 after structural relaxation (GGA-PBE).

Output
electronic total energy: -8.129 eV/atom
corrected total energy (MP2020 scheme): -821.6 eV per cell

a = 11.0238 Å, b = 10.5926 Å, c = 10.7648 Å
α = 90.00°, β = 93.45°, γ = 90.00°
Space group C2/c (No. 15)
One atom of each set of equivalent atoms:
Sc: 0.0109 0.1409 0.4294 (multiplicity 8)
Sc: 0.1550 0.3510 0.9384 (multiplicity 8)
Sc: 0.1768 0.3161 0.2454 (multiplicity 8)
Ge: 0.0000 0.1435 0.7500 (multiplicity 4)
Ge: 0.1677 0.3934 0.5438 (multiplicity 8)
O: 0.0000 0.2376 0.2500 (multiplicity 4)
O: 0.0121 0.0478 0.6145 (multiplicity 8)
O: 0.0315 0.3066 0.5461 (multiplicity 8)
O: 0.1368 0.2308 0.7806 (multiplicity 8)
O: 0.1546 0.4557 0.1135 (multiplicity 8)
O: 0.1664 0.2031 0.0754 (multiplicity 8)
O: 0.1764 0.4544 0.3879 (multiplicity 8)
O: 0.1966 0.1782 0.3959 (multiplicity 8)

Which value of electronic total energy does entry 2 give? -8.331 eV/atom

Look up the corrected total energy (MP2020 scheme) of the second one. -349.7 eV per cell

What is the formula in the first record? PdC4S4I2N8